# 1
# Na6Ti2Zn6SiS11O48, relaxed, DFT PBE
# **Total moment**: 0.00 μB/cell
# **ΔH_f (0 K)**: -156.89 eV/f.u.
data_Na6Ti2Zn6SiS11O48
_chemical_formula_sum 'Na18 Ti6 Zn18 Si3 S33 O144'
_symmetry_space_group_name_H-M 'P 1'
_symmetry_Int_Tables_number 1
_symmetry_space_group_name_Hall 'P 1'
_cell_length_a 8.752
_cell_length_b 15.137
_cell_length_c 22.502
_cell_angle_alpha 89.90
_cell_angle_beta 89.83
_cell_angle_gamma 89.94
loop_
_atom_site_label
_atom_site_type_symbol
_atom_site_fract_x
_atom_site_fract_y
_atom_site_fract_z
_atom_site_occupancy
Na1 Na 0.000 0.000 0.000 1
Na2 Na 0.000 0.331 0.839 1
Na3 Na 0.000 0.665 0.674 1
Na4 Na 0.006 0.004 0.498 1
Na5 Na 0.006 0.329 0.332 1
Na6 Na 0.322 0.683 0.247 1
Na7 Na 0.362 0.995 0.254 1
Na8 Na 0.369 0.333 0.589 1
Na9 Na 0.495 0.506 0.002 1
Na10 Na 0.496 0.508 0.502 1
Na11 Na 0.498 0.167 0.167 1
Na12 Na 0.500 0.165 0.673 1
Na13 Na 0.500 0.831 0.839 1
Na14 Na 0.501 0.835 0.336 1
Na15 Na 0.635 0.332 0.083 1
Na16 Na 0.681 0.346 0.416 1
Na17 Na 0.869 0.834 0.589 1
Na18 Na 0.992 0.663 0.161 1
Ti1 Ti 0.007 0.333 0.692 1
Ti2 Ti 0.488 0.493 0.852 1
Ti3 Ti 0.506 0.833 0.691 1
Ti4 Ti 0.988 0.993 0.852 1
Ti5 Ti 0.997 0.670 0.315 1
Ti6 Ti 0.999 0.991 0.151 1
Zn1 Zn 0.001 0.998 0.654 1
Zn2 Zn 0.003 0.329 0.485 1
Zn3 Zn 0.003 0.662 0.519 1
Zn4 Zn 0.004 0.331 0.985 1
Zn5 Zn 0.005 0.999 0.351 1
Zn6 Zn 0.491 0.162 0.014 1
Zn7 Zn 0.492 0.169 0.817 1
Zn8 Zn 0.493 0.834 0.482 1
Zn9 Zn 0.496 0.497 0.349 1
Zn10 Zn 0.496 0.501 0.150 1
Zn11 Zn 0.496 0.831 0.181 1
Zn12 Zn 0.499 0.830 0.985 1
Zn13 Zn 0.501 0.498 0.655 1
Zn14 Zn 0.502 0.159 0.516 1
Zn15 Zn 0.502 0.168 0.319 1
Zn16 Zn 0.992 0.670 0.817 1
Zn17 Zn 0.997 0.332 0.182 1
Zn18 Zn 0.999 0.665 0.016 1
Si1 Si 0.147 0.852 0.254 1
Si2 Si 0.360 0.349 0.747 1
Si3 Si 0.859 0.849 0.747 1
S1 S 0.141 0.146 0.250 1
S2 S 0.141 0.185 0.585 1
S3 S 0.142 0.478 0.584 1
S4 S 0.144 0.519 0.916 1
S5 S 0.148 0.813 0.917 1
S6 S 0.200 0.164 0.917 1
S7 S 0.202 0.497 0.253 1
S8 S 0.210 0.832 0.584 1
S9 S 0.290 0.998 0.750 1
S10 S 0.291 0.664 0.417 1
S11 S 0.293 0.331 0.084 1
S12 S 0.349 0.313 0.419 1
S13 S 0.349 0.683 0.084 1
S14 S 0.350 0.981 0.085 1
S15 S 0.351 0.018 0.417 1
S16 S 0.354 0.644 0.750 1
S17 S 0.640 0.686 0.584 1
S18 S 0.642 0.978 0.584 1
S19 S 0.644 0.019 0.916 1
S20 S 0.647 0.350 0.251 1
S21 S 0.648 0.314 0.918 1
S22 S 0.649 0.644 0.252 1
S23 S 0.702 0.664 0.917 1
S24 S 0.709 0.332 0.583 1
S25 S 0.709 0.999 0.251 1
S26 S 0.790 0.498 0.750 1
S27 S 0.792 0.832 0.085 1
S28 S 0.795 0.164 0.418 1
S29 S 0.852 0.183 0.085 1
S30 S 0.852 0.520 0.417 1
S31 S 0.852 0.811 0.419 1
S32 S 0.853 0.480 0.084 1
S33 S 0.854 0.144 0.750 1
O1 O 0.066 0.565 0.581 1
O2 O 0.066 0.753 0.261 1
O3 O 0.066 0.900 0.194 1
O4 O 0.074 0.097 0.593 1
O5 O 0.074 0.778 0.971 1
O6 O 0.074 0.905 0.908 1
O7 O 0.076 0.109 0.305 1
O8 O 0.076 0.235 0.242 1
O9 O 0.076 0.432 0.638 1
O10 O 0.077 0.224 0.531 1
O11 O 0.080 0.560 0.862 1
O12 O 0.083 0.429 0.921 1
O13 O 0.101 0.243 0.923 1
O14 O 0.102 0.083 0.909 1
O15 O 0.103 0.420 0.246 1
O16 O 0.105 0.580 0.261 1
O17 O 0.108 0.086 0.197 1
O18 O 0.109 0.244 0.638 1
O19 O 0.109 0.752 0.582 1
O20 O 0.109 0.911 0.588 1
O21 O 0.117 0.423 0.531 1
O22 O 0.122 0.760 0.864 1
O23 O 0.126 0.572 0.970 1
O24 O 0.126 0.916 0.308 1
O25 O 0.165 0.345 0.741 1
O26 O 0.177 0.990 0.093 1
O27 O 0.181 0.675 0.078 1
O28 O 0.182 0.324 0.423 1
O29 O 0.183 0.010 0.415 1
O30 O 0.189 0.654 0.759 1
O31 O 0.189 0.674 0.362 1
O32 O 0.190 0.984 0.804 1
O33 O 0.196 0.651 0.470 1
O34 O 0.201 0.318 0.138 1
O35 O 0.201 0.345 0.030 1
O36 O 0.202 0.014 0.696 1
O37 O 0.290 0.147 0.971 1
O38 O 0.295 0.485 0.306 1
O39 O 0.296 0.178 0.864 1
O40 O 0.296 0.519 0.200 1
O41 O 0.301 0.842 0.530 1
O42 O 0.308 0.822 0.638 1
O43 O 0.310 0.487 0.589 1
O44 O 0.312 0.149 0.252 1
O45 O 0.312 0.182 0.582 1
O46 O 0.314 0.827 0.923 1
O47 O 0.320 0.512 0.909 1
O48 O 0.328 0.836 0.243 1
O49 O 0.372 0.925 0.032 1
O50 O 0.375 0.733 0.141 1
O51 O 0.379 0.259 0.365 1
O52 O 0.381 0.594 0.696 1
O53 O 0.382 0.913 0.744 1
O54 O 0.383 0.072 0.470 1
O55 O 0.383 0.745 0.419 1
O56 O 0.387 0.585 0.410 1
O57 O 0.390 0.418 0.805 1
O58 O 0.396 0.072 0.758 1
O59 O 0.396 0.411 0.089 1
O60 O 0.397 0.252 0.079 1
O61 O 0.413 0.943 0.141 1
O62 O 0.415 0.057 0.361 1
O63 O 0.417 0.070 0.079 1
O64 O 0.419 0.274 0.473 1
O65 O 0.419 0.726 0.032 1
O66 O 0.420 0.391 0.686 1
O67 O 0.422 0.594 0.089 1
O68 O 0.423 0.252 0.757 1
O69 O 0.425 0.929 0.422 1
O70 O 0.427 0.401 0.413 1
O71 O 0.427 0.734 0.744 1
O72 O 0.429 0.603 0.804 1
O73 O 0.566 0.065 0.581 1
O74 O 0.573 0.261 0.256 1
O75 O 0.573 0.597 0.592 1
O76 O 0.574 0.405 0.909 1
O77 O 0.574 0.605 0.305 1
O78 O 0.576 0.726 0.530 1
O79 O 0.576 0.931 0.638 1
O80 O 0.578 0.279 0.973 1
O81 O 0.580 0.060 0.863 1
O82 O 0.580 0.392 0.197 1
O83 O 0.582 0.929 0.922 1
O84 O 0.583 0.734 0.246 1
O85 O 0.602 0.583 0.909 1
O86 O 0.602 0.743 0.923 1
O87 O 0.608 0.079 0.252 1
O88 O 0.608 0.252 0.581 1
O89 O 0.608 0.744 0.638 1
O90 O 0.609 0.412 0.587 1
O91 O 0.610 0.920 0.243 1
O92 O 0.619 0.259 0.866 1
O93 O 0.619 0.922 0.531 1
O94 O 0.620 0.403 0.306 1
O95 O 0.626 0.072 0.971 1
O96 O 0.629 0.591 0.198 1
O97 O 0.664 0.845 0.741 1
O98 O 0.682 0.175 0.078 1
O99 O 0.682 0.486 0.090 1
O100 O 0.683 0.509 0.411 1
O101 O 0.683 0.814 0.419 1
O102 O 0.689 0.154 0.759 1
O103 O 0.690 0.483 0.803 1
O104 O 0.699 0.181 0.365 1
O105 O 0.700 0.820 0.139 1
O106 O 0.701 0.849 0.031 1
O107 O 0.702 0.514 0.696 1
O108 O 0.703 0.152 0.472 1
O109 O 0.793 0.648 0.971 1
O110 O 0.796 0.678 0.864 1
O111 O 0.798 0.343 0.527 1
O112 O 0.799 0.988 0.304 1
O113 O 0.810 0.011 0.197 1
O114 O 0.810 0.322 0.636 1
O115 O 0.810 0.987 0.589 1
O116 O 0.811 0.682 0.581 1
O117 O 0.815 0.326 0.923 1
O118 O 0.816 0.342 0.246 1
O119 O 0.819 0.011 0.909 1
O120 O 0.819 0.652 0.261 1
O121 O 0.874 0.239 0.138 1
O122 O 0.877 0.423 0.031 1
O123 O 0.878 0.572 0.471 1
O124 O 0.881 0.094 0.696 1
O125 O 0.882 0.413 0.744 1
O126 O 0.889 0.917 0.805 1
O127 O 0.890 0.247 0.422 1
O128 O 0.890 0.916 0.092 1
O129 O 0.893 0.085 0.412 1
O130 O 0.893 0.753 0.366 1
O131 O 0.895 0.755 0.079 1
O132 O 0.896 0.571 0.758 1
O133 O 0.916 0.771 0.474 1
O134 O 0.919 0.440 0.139 1
O135 O 0.919 0.566 0.364 1
O136 O 0.919 0.891 0.686 1
O137 O 0.920 0.899 0.412 1
O138 O 0.921 0.569 0.078 1
O139 O 0.922 0.093 0.093 1
O140 O 0.922 0.221 0.031 1
O141 O 0.923 0.431 0.420 1
O142 O 0.923 0.752 0.757 1
O143 O 0.927 0.235 0.744 1
O144 O 0.929 0.103 0.804 1


# 2
# UO4, relaxed, DFT PBE
# **Total moment**: 0.00 μB/cell
# **ΔH_f (0 K)**: -12.61 eV/f.u.
data_UO4
_chemical_formula_sum 'U4 O16'
_symmetry_space_group_name_H-M 'P b c a'
_symmetry_Int_Tables_number 61
_symmetry_space_group_name_Hall '-P 2ac 2ab'
_cell_length_a 5.317
_cell_length_b 6.094
_cell_length_c 10.113
_cell_angle_alpha 90.00
_cell_angle_beta 90.00
_cell_angle_gamma 90.00
loop_
_atom_site_label
_atom_site_type_symbol
_atom_site_fract_x
_atom_site_fract_y
_atom_site_fract_z
_atom_site_occupancy
U1 U 0.000 0.000 0.000 1
O1 O 0.153 0.026 0.162 1
O2 O 0.213 0.222 0.440 1


# 3
# K4H6C2O9, relaxed, DFT PBE
# **ΔH_f (0 K)**: -36.99 eV/f.u.
data_K4H6C2O9
_chemical_formula_sum 'K16 H24 C8 O36'
_symmetry_space_group_name_H-M 'C 1 2/c 1'
_symmetry_Int_Tables_number 15
_symmetry_space_group_name_Hall '-C 2yc'
_cell_length_a 12.127
_cell_length_b 13.867
_cell_length_c 7.217
_cell_angle_alpha 90.00
_cell_angle_beta 120.67
_cell_angle_gamma 90.00
loop_
_atom_site_label
_atom_site_type_symbol
_atom_site_fract_x
_atom_site_fract_y
_atom_site_fract_z
_atom_site_occupancy
K1 K 0.000 0.117 0.250 1
K2 K 0.000 0.185 0.750 1
K3 K 0.144 0.351 0.540 1
H1 H 0.069 0.454 0.845 1
H2 H 0.173 0.027 0.631 1
H3 H 0.211 0.070 0.049 1
C1 C 0.193 0.330 0.150 1
O1 O 0.000 0.500 0.250 1
O2 O 0.107 0.276 0.148 1
O3 O 0.148 0.041 0.086 1
O4 O 0.179 0.365 0.970 1
O5 O 0.203 0.149 0.667 1


# 4
# Na8La3TaSi4P2O24, relaxed, DFT PBE
# **Total moment**: 0.00 μB/cell
# **ΔH_f (0 K)**: -126.46 eV/f.u.
data_Na8La3TaSi4P2O24
_chemical_formula_sum 'Na24 La9 Ta3 Si12 P6 O72'
_symmetry_space_group_name_H-M 'P 1'
_symmetry_Int_Tables_number 1
_symmetry_space_group_name_Hall 'P 1'
_cell_length_a 9.626
_cell_length_b 9.638
_cell_length_c 23.090
_cell_angle_alpha 89.86
_cell_angle_beta 89.97
_cell_angle_gamma 60.05
loop_
_atom_site_label
_atom_site_type_symbol
_atom_site_fract_x
_atom_site_fract_y
_atom_site_fract_z
_atom_site_occupancy
Na1 Na 0.000 0.000 0.000 1
Na2 Na 0.000 0.376 0.236 1
Na3 Na 0.006 0.368 0.745 1
Na4 Na 0.009 0.738 0.499 1
Na5 Na 0.027 0.692 0.835 1
Na6 Na 0.036 0.042 0.317 1
Na7 Na 0.295 0.417 0.322 1
Na8 Na 0.309 0.046 0.823 1
Na9 Na 0.326 0.071 0.153 1
Na10 Na 0.331 0.699 0.914 1
Na11 Na 0.341 0.700 0.408 1
Na12 Na 0.346 0.337 0.665 1
Na13 Na 0.368 0.387 0.995 1
Na14 Na 0.370 0.001 0.501 1
Na15 Na 0.617 0.393 0.498 1
Na16 Na 0.627 0.743 0.000 1
Na17 Na 0.659 0.045 0.578 1
Na18 Na 0.660 0.400 0.832 1
Na19 Na 0.662 0.674 0.322 1
Na20 Na 0.669 0.043 0.076 1
Na21 Na 0.684 0.725 0.662 1
Na22 Na 0.685 0.356 0.154 1
Na23 Na 0.960 0.077 0.665 1
Na24 Na 0.978 0.712 0.154 1
La1 La 0.331 0.708 0.063 1
La2 La 0.331 0.710 0.247 1
La3 La 0.333 0.709 0.566 1
La4 La 0.661 0.044 0.430 1
La5 La 0.664 0.044 0.225 1
La6 La 0.665 0.047 0.730 1
La7 La 0.672 0.049 0.923 1
La8 La 0.997 0.380 0.893 1
La9 La 0.998 0.382 0.396 1
Ta1 Ta 0.328 0.710 0.751 1
Ta2 Ta 0.993 0.383 0.089 1
Ta3 Ta 0.999 0.382 0.596 1
Si1 Si 0.016 0.038 0.155 1
Si2 Si 0.032 0.699 0.654 1
Si3 Si 0.296 0.373 0.495 1
Si4 Si 0.319 0.021 0.654 1
Si5 Si 0.320 0.395 0.155 1
Si6 Si 0.352 0.370 0.819 1
Si7 Si 0.643 0.414 0.655 1
Si8 Si 0.656 0.702 0.155 1
Si9 Si 0.701 0.374 0.990 1
Si10 Si 0.705 0.676 0.495 1
Si11 Si 0.991 0.681 0.990 1
Si12 Si 0.993 0.030 0.819 1
P1 P 0.296 0.088 0.993 1
P2 P 0.355 0.036 0.325 1
P3 P 0.644 0.736 0.819 1
P4 P 0.658 0.359 0.326 1
P5 P 0.981 0.737 0.326 1
P6 P 0.990 0.093 0.498 1
O1 O 0.000 0.163 0.439 1
O2 O 0.003 0.598 0.928 1
O3 O 0.011 0.211 0.143 1
O4 O 0.031 0.177 0.824 1
O5 O 0.039 0.520 0.652 1
O6 O 0.089 0.736 0.594 1
O7 O 0.096 0.915 0.101 1
O8 O 0.129 0.962 0.213 1
O9 O 0.135 0.922 0.501 1
O10 O 0.142 0.194 0.652 1
O11 O 0.147 0.706 0.994 1
O12 O 0.149 0.722 0.327 1
O13 O 0.153 0.387 0.144 1
O14 O 0.166 0.412 0.823 1
O15 O 0.167 0.859 0.807 1
O16 O 0.171 0.682 0.705 1
O17 O 0.172 0.370 0.548 1
O18 O 0.180 0.198 0.043 1
O19 O 0.183 0.185 0.323 1
O20 O 0.213 0.380 0.433 1
O21 O 0.218 0.156 0.934 1
O22 O 0.280 0.509 0.213 1
O23 O 0.304 0.900 0.706 1
O24 O 0.315 0.532 0.497 1
O25 O 0.319 0.917 0.998 1
O26 O 0.344 0.880 0.326 1
O27 O 0.352 0.928 0.594 1
O28 O 0.354 0.542 0.808 1
O29 O 0.362 0.476 0.101 1
O30 O 0.429 0.256 0.763 1
O31 O 0.443 0.042 0.270 1
O32 O 0.452 0.033 0.380 1
O33 O 0.457 0.086 0.999 1
O34 O 0.465 0.210 0.160 1
O35 O 0.466 0.054 0.665 1
O36 O 0.467 0.204 0.503 1
O37 O 0.469 0.288 0.877 1
O38 O 0.483 0.732 0.811 1
O39 O 0.504 0.527 0.327 1
O40 O 0.523 0.534 0.994 1
O41 O 0.523 0.551 0.706 1
O42 O 0.524 0.704 0.498 1
O43 O 0.537 0.742 0.100 1
O44 O 0.550 0.473 0.594 1
O45 O 0.582 0.661 0.213 1
O46 O 0.617 0.843 0.873 1
O47 O 0.656 0.266 0.381 1
O48 O 0.659 0.267 0.270 1
O49 O 0.674 0.811 0.765 1
O50 O 0.676 0.234 0.666 1
O51 O 0.699 0.205 0.998 1
O52 O 0.700 0.844 0.160 1
O53 O 0.712 0.843 0.502 1
O54 O 0.775 0.379 0.927 1
O55 O 0.778 0.589 0.434 1
O56 O 0.783 0.562 0.824 1
O57 O 0.810 0.377 0.322 1
O58 O 0.818 0.415 0.654 1
O59 O 0.819 0.847 0.998 1
O60 O 0.826 0.376 0.042 1
O61 O 0.829 0.093 0.503 1
O62 O 0.830 0.079 0.160 1
O63 O 0.830 0.550 0.549 1
O64 O 0.832 0.533 0.143 1
O65 O 0.851 0.837 0.667 1
O66 O 0.881 0.064 0.762 1
O67 O 0.888 0.827 0.270 1
O68 O 0.888 0.832 0.380 1
O69 O 0.912 0.993 0.876 1
O70 O 0.991 0.205 0.549 1
O71 O 0.999 0.551 0.042 1
O72 O 0.999 0.567 0.323 1


Among the records above, which one has the highest ΔH_f (0 K)? UO4


Which value of ΔH_f (0 K) does entry 3 give? -36.99 eV/f.u.


ΔH_f (0 K) of number 3 (K4H6C2O9)? -36.99 eV/f.u.